[1]
This record from the Materials Project describes an optimized crystal structure of K2TeOF4. The functional is GGA-PBE.

Geometry as extended XYZ:
```
16
Lattice="3.2189 -7.1475 0.0000 3.2189 7.1475 0.0000 0.0000 0.0000 6.7210" Properties=species:S:1:pos:R:3 pbc="T T T"
K 3.2189 6.1034 5.0408
K 3.2189 3.5670 1.6803
K 3.2189 -3.5670 5.0408
K 3.2189 -6.1034 1.6803
Te 3.2189 1.5728 5.0408
Te 3.2189 -1.5728 1.6803
O 3.2189 3.3901 5.0408
O 3.2189 -3.3901 1.6803
F 1.7041 1.6054 3.5795
F 1.7041 1.6054 6.5020
F 1.7041 -1.6054 0.2190
F 1.7041 -1.6054 3.1415
F 4.7336 1.6054 3.5795
F 4.7336 1.6054 6.5020
F 4.7336 -1.6054 0.2190
F 4.7336 -1.6054 3.1415
```

Values from the calculation:
The formation energy is -20.9 eV/f.u. Its total magnetization is 0.0 μB/cell. As for the symmetry: Cmcm (63).



[2]
This record from the Materials Project describes an optimized crystal structure of KTiO2F. The functional is GGA-PBE.

Geometry as extended XYZ:
```
5
Lattice="3.8755 0.0000 0.0000 0.0000 3.8755 0.0000 0.0000 0.0000 4.1848" Properties=species:S:1:pos:R:3 pbc="T T T"
K 0.0000 0.0000 0.0000
Ti 1.9378 1.9378 2.0924
O 0.0000 1.9378 2.0924
O 1.9378 0.0000 2.0924
F 1.9378 1.9378 0.0000
```

Values from the calculation:
The formation energy is -15.7 eV/f.u. Its total magnetization is 0.0 μB/cell. As for the symmetry: P4/mmm (123).



[3]
This record from the Materials Project describes an optimized crystal structure of K2TiO3F4. The functional is GGA-PBE.

Geometry as extended XYZ:
```
40
Lattice="8.7303 -3.3383 0.0000 8.7303 3.3383 0.0000 -5.4801 0.0000 11.1253" Properties=species:S:1:pos:R:3 pbc="T T T"
K 4.4994 1.5505 1.8145
K 2.8625 1.7153 9.6097
K 6.3779 1.7153 7.0783
K 10.2212 1.5505 3.7481
K 1.7593 -1.5505 7.3772
K 5.6026 -1.7153 4.0470
K 9.1180 -1.7153 1.5156
K 7.4812 -1.5505 9.3108
Ti 3.2073 1.1358 5.1863
Ti 0.4672 -1.1358 10.7490
Ti 11.5133 1.1358 0.3764
Ti 8.7733 -1.1358 5.9390
O 4.5351 2.4285 4.7058
O 7.2018 2.4034 2.1799
O 7.5188 2.4034 3.3827
O 10.1854 2.4285 0.8569
O 5.0420 1.0574 4.6298
O 9.6786 1.0574 0.9329
O 2.3020 -1.0574 10.1924
O 6.9385 -1.0574 6.4955
O 1.7951 -2.4285 10.2684
O 4.4617 -2.4034 7.7426
O 4.7788 -2.4034 8.9454
O 7.4454 -2.4285 6.4196
F 2.4878 0.9201 3.4222
F 1.2071 0.5312 5.7397
F 0.6596 0.8178 10.8229
F 3.5620 1.1614 7.0602
F 3.9472 -0.5312 0.1770
F -0.2523 -0.9201 8.9849
F 5.6785 1.1614 9.6278
F 3.3996 -0.8178 5.2602
F 8.5809 0.8178 5.8651
F 6.3021 -1.1614 1.4975
F 12.2328 0.9201 2.1404
F 8.0334 0.5312 10.9483
F 8.4185 -1.1614 4.0651
F 11.3210 -0.8178 0.3024
F 10.7734 -0.5312 5.3857
F 9.4927 -0.9201 7.7031
```

Values from the calculation:
The formation energy is -26.4 eV/f.u. Its total magnetization is 4.0 μB/cell. As for the symmetry: C2/c (15).



[4]
This record from the Materials Project describes an optimized crystal structure of K2TiO2F4. The functional is GGA-PBE.

Geometry as extended XYZ:
```
18
Lattice="4.7180 -4.0207 0.0000 4.7180 4.0207 0.0000 0.0000 0.0000 7.5961" Properties=species:S:1:pos:R:3 pbc="T T T"
K 2.6098 2.2162 5.6971
K 6.8262 2.2162 5.6971
K 2.6098 -2.2162 1.8990
K 6.8262 -2.2162 1.8990
Ti 4.7180 0.0000 0.0000
Ti 4.7180 0.0000 3.7980
O 4.7180 3.5652 1.8990
O 4.7180 0.0820 5.6971
O 4.7180 -0.0820 1.8990
O 4.7180 -3.5652 5.6971
F 4.7180 1.9489 0.0494
F 4.7180 1.9489 3.7487
F 2.7795 0.0000 0.0000
F 2.7795 0.0000 3.7980
F 6.6565 0.0000 0.0000
F 6.6565 0.0000 3.7980
F 4.7180 -1.9489 3.8474
F 4.7180 -1.9489 7.5467
```

Values from the calculation:
The formation energy is -25.0 eV/f.u. Its total magnetization is 4.0 μB/cell. As for the symmetry: Cmcm (63).



[5]
This record from the Materials Project describes an optimized crystal structure of KZrTl2OF5. The functional is GGA-PBE.

Geometry as extended XYZ:
```
10
Lattice="-3.2538 3.2538 4.7272 3.2538 -3.2538 4.7272 3.2538 3.2538 -4.7272" Properties=species:S:1:pos:R:3 pbc="T T T"
K 0.0000 0.0000 0.0000
Zr 0.0000 0.0000 4.8922
Tl 3.2538 0.0000 2.4280
Tl 0.0000 3.2538 2.4280
O 0.0000 0.0000 6.8016
F 1.7917 1.7917 -0.0897
F 4.7158 1.7917 -0.0897
F 0.0000 0.0000 2.6406
F -1.4621 1.4621 4.6375
F 1.4621 1.4621 4.6375
```

Values from the calculation:
The formation energy is -29.5 eV/f.u. Its total magnetization is 0.0 μB/cell. As for the maximum piezoelectric response: 1.99 C/m². As for the symmetry: I4mm (107).



[6]
This record from the Materials Project describes an optimized crystal structure of K3UO2F5. The functional is GGA-PBE.

Geometry as extended XYZ:
```
44
Lattice="-4.6515 4.6515 9.2254 4.6515 -4.6515 9.2254 4.6515 4.6515 -9.2254" Properties=species:S:1:pos:R:3 pbc="T T T"
K 2.6400 0.1495 0.2058
K 4.6515 2.3257 -2.3063
K 2.4752 4.3373 -4.8184
K 2.4752 -0.3142 4.8184
K 0.0000 2.3257 2.3063
K 2.0115 -0.1495 9.4311
K 2.6400 4.8010 -0.2058
K 4.6515 2.3257 6.9190
K 2.1763 4.9657 4.4069
K 2.1763 0.3142 14.0438
K 0.0000 2.3257 11.5317
K 2.0115 4.5020 9.0196
U 4.6515 -2.3257 7.2745
U 4.6515 2.3257 2.6618
U 0.0000 2.3257 6.5635
U 0.0000 6.9772 1.9508
O 4.2360 4.1323 -7.2831
O 4.2360 -0.5192 7.2831
O 2.8450 1.9103 2.6704
O 6.4580 2.7412 2.6704
O -1.8065 1.9103 6.5549
O 1.8065 2.7412 6.5549
O 0.4155 5.1707 1.9423
O 0.4155 0.5192 16.5085
F 4.6515 -2.3257 4.9819
F 7.1766 1.8421 -2.6748
F 5.1352 0.1993 1.9379
F 2.1264 2.8094 -2.6748
F 3.3268 -2.5095 9.1040
F 1.3247 2.5095 -0.1214
F 4.6515 2.3257 0.3692
F 4.8352 1.0011 4.4913
F 0.1837 1.0011 4.7340
F 0.4837 0.1993 7.2874
F 4.1678 4.4522 1.9379
F 4.4678 3.6504 4.4913
F -0.1837 3.6504 4.7340
F 0.0000 2.3257 8.8561
F 3.3268 2.1420 9.3467
F 1.3247 7.1610 0.1214
F 2.5251 1.8421 11.9001
F -0.4837 4.4522 7.2874
F -2.5251 2.8094 11.9001
F 0.0000 6.9772 4.2435
```

Values from the calculation:
The formation energy is -37.5 eV/f.u. As for the symmetry: I4_1/a (88).



[7]
This record from the Materials Project describes an optimized crystal structure of K2U3O10F8. The functional is GGA-PBE.

Geometry as extended XYZ:
```
46
Lattice="13.1536 0.0000 0.0000 0.0000 7.2129 4.2441 0.0000 -7.2129 4.2441" Properties=species:S:1:pos:R:3 pbc="T T T"
K 3.2884 -7.1429 4.2441
K 3.2884 -1.8734 3.4998
K 9.8652 1.8734 3.4998
K 9.8652 7.1429 4.2441
U 0.0000 0.0000 5.5792
U 0.3317 4.2801 4.6834
U 6.2451 4.2801 4.6834
U 6.5768 0.0000 5.5792
U 6.9085 -4.2801 4.6834
U 12.8219 -4.2801 4.6834
O 0.0000 0.0000 3.1267
O 1.2467 -5.0650 5.1458
O 1.7133 0.5898 5.5556
O 1.8177 3.4590 4.0876
O 3.2884 -4.6676 2.9086
O 3.2884 1.0380 2.8974
O 3.2884 -2.0868 6.5100
O 4.7592 3.4590 4.0876
O 4.8635 0.5898 5.5556
O 5.3301 -5.0650 5.1458
O 6.5768 0.0000 3.1267
O 7.8235 5.0650 5.1458
O 8.2901 -0.5898 5.5556
O 8.3945 -3.4590 4.0876
O 9.8652 -1.0380 2.8974
O 9.8652 4.6676 2.9086
O 9.8652 2.0868 6.5100
O 11.3360 -3.4590 4.0876
O 11.4404 -0.5898 5.5556
O 11.9070 5.0650 5.1458
F 0.6042 -3.7773 2.5838
F 0.6666 -2.0309 4.7240
F 0.6932 -1.1635 7.4332
F 1.6186 -1.4826 1.4731
F 4.9582 -1.4826 1.4731
F 5.8836 -1.1635 7.4332
F 5.9102 -2.0309 4.7240
F 5.9726 -3.7773 2.5838
F 7.1810 3.7773 2.5838
F 7.2435 2.0309 4.7240
F 7.2700 1.1635 7.4332
F 8.1954 1.4826 1.4731
F 11.5350 1.4826 1.4731
F 12.4604 1.1635 7.4332
F 12.4870 2.0309 4.7240
F 12.5494 3.7773 2.5838
```

Values from the calculation:
The formation energy is -59.6 eV/f.u. Its total magnetization is 16.0 μB/cell. As for the symmetry: Ama2 (40).



[8]
This record from the Materials Project describes an optimized crystal structure of K3U2O6F7. The functional is GGA-PBE.

Geometry as extended XYZ:
```
36
Lattice="6.4286 0.0000 0.0000 0.0000 11.6370 0.0000 -0.6726 0.0000 9.2930" Properties=species:S:1:pos:R:3 pbc="T T T"
K 0.0000 0.0000 0.0000
K 0.0000 5.8185 0.0000
K 0.3877 2.9093 5.2150
K 2.3470 2.9093 8.6826
K 3.4091 8.7278 0.6103
K 5.3683 8.7278 4.0780
U 2.1442 6.4945 6.3870
U 2.1442 10.9611 6.3870
U 3.6118 0.6759 2.9060
U 3.6118 5.1426 2.9060
O 0.5112 2.9093 0.9027
O 0.6584 7.0744 5.5209
O 0.6584 10.3812 5.5209
O 1.5229 8.7278 2.6980
O 2.0853 0.1114 2.0681
O 2.0853 5.7072 2.0681
O 3.6707 5.9299 7.2249
O 3.6707 11.5257 7.2249
O 4.2332 2.9093 6.5950
O 5.0977 1.2558 3.7720
O 5.0977 4.5627 3.7720
O 5.2449 8.7278 8.3903
F 1.0088 1.0754 7.2470
F 1.0088 4.7432 7.2470
F 1.3511 7.2310 8.3198
F 1.3511 10.2246 8.3198
F 2.3573 1.1304 4.8740
F 2.3573 4.6882 4.8740
F 2.8369 2.9093 2.7803
F 2.9192 8.7278 6.5126
F 3.3988 6.9489 4.4189
F 3.3988 10.5067 4.4189
F 4.4050 1.4125 0.9732
F 4.4050 4.4060 0.9732
F 4.7473 6.8939 2.0459
F 4.7473 10.5617 2.0459
```

Values from the calculation:
The formation energy is -51.9 eV/f.u. Its total magnetization is 8.0 μB/cell. As for the symmetry: P2_1/m (11).



[9]
This record from the Materials Project describes an optimized crystal structure of KXeO3F. The functional is GGA-PBE.

Geometry as extended XYZ:
```
24
Lattice="7.6245 0.0000 0.0000 0.0000 8.4617 0.0000 0.0000 0.0000 6.9726" Properties=species:S:1:pos:R:3 pbc="T T T"
K 0.9463 1.2464 0.0000
K 2.8660 5.4772 3.4863
K 4.7586 2.9844 0.0000
K 6.6782 7.2153 3.4863
Xe 0.7050 5.5115 0.2395
Xe 3.1072 1.2806 3.7258
Xe 4.5173 7.1811 0.2395
Xe 6.9195 2.9502 3.7258
O 0.7832 6.2300 5.4607
O 1.3622 7.0395 1.1819
O 1.5522 0.2142 3.8389
O 2.2601 4.4451 0.3527
O 2.4501 2.8087 4.6682
O 3.0291 1.9991 1.9744
O 4.5955 6.4626 5.4607
O 5.1745 5.6530 1.1819
O 5.3644 4.0166 3.8389
O 6.0724 8.2474 0.3527
O 6.2623 1.4222 4.6682
O 6.8413 2.2317 1.9744
F 0.3224 4.8297 2.6545
F 3.4898 0.5989 6.1408
F 4.1347 7.8628 2.6545
F 7.3021 3.6320 6.1408
```

Values from the calculation:
The formation energy is -2.5 eV/f.u. Its total magnetization is 0.0 μB/cell. As for the symmetry: Pna2_1 (33).



[10]
This record from the Materials Project describes an optimized crystal structure of K2Zr3OF12. The functional is GGA-PBE.

Geometry as extended XYZ:
```
36
Lattice="3.9088 2.2568 9.7863 -3.9088 2.2568 9.7863 0.0000 -4.5135 9.7863" Properties=species:S:1:pos:R:3 pbc="T T T"
K 0.0000 0.0000 0.0000
K 0.0000 0.0000 4.0612
K 0.0000 0.0000 14.6795
K 0.0000 0.0000 25.2977
Zr -2.1342 -1.2322 11.6149
Zr 0.0000 -2.4644 17.7441
Zr -2.1342 1.2322 17.7441
Zr 2.1342 -1.2322 11.6149
Zr 0.0000 2.4644 11.6149
Zr 2.1342 1.2322 17.7441
O 0.0000 0.0000 8.3719
O 0.0000 0.0000 20.9871
F -1.3682 -2.1437 9.7863
F -2.5406 -0.1131 9.7863
F 0.0000 -2.3148 7.5281
F -2.0046 1.1574 7.5281
F -2.2042 -1.2726 13.6295
F 0.0000 -1.5153 11.9731
F -1.3123 0.7577 11.9731
F 0.0000 -2.5452 15.7295
F -2.2042 1.2726 15.7295
F -2.5406 0.1131 19.5726
F -1.1724 2.2568 9.7863
F -1.3123 -0.7577 17.3858
F -2.0046 -1.1574 21.8308
F 2.0046 1.1574 7.5282
F 1.3123 0.7577 11.9731
F -1.3682 2.1437 19.5726
F 1.1724 2.2568 9.7863
F 2.2042 -1.2726 13.6295
F 0.0000 2.5452 13.6295
F 1.3123 -0.7577 17.3858
F 0.0000 1.5153 17.3858
F 2.2042 1.2726 15.7295
F 2.0046 -1.1574 21.8308
F 0.0000 2.3148 21.8308
```

Values from the calculation:
The formation energy is -69.5 eV/f.u. Its total magnetization is 0.0 μB/cell. As for the symmetry: R-3m (166).



[11]
This record from the Materials Project describes an optimized crystal structure of K3OsF6. The functional is GGA-PBE.

Geometry as extended XYZ:
```
10
Lattice="6.6627 0.0000 0.0000 -1.1149 6.6928 0.0000 -1.9614 -1.3948 6.4161" Properties=species:S:1:pos:R:3 pbc="T T T"
K 0.0000 0.0000 0.0000
K -1.5382 2.6490 3.2080
K 2.3506 -0.6974 3.2080
Os -0.9807 -0.6974 3.2080
F -1.0289 4.8539 1.8783
F 0.2766 0.8293 2.5505
F -0.8596 5.2586 4.6559
F 4.4459 0.0394 1.7602
F 3.3097 4.4687 3.8656
F 4.6152 0.4441 4.5378
```

Values from the calculation:
The formation energy is -24.3 eV/f.u. Its total magnetization is 1.0 μB/cell. As for the symmetry: P-1 (2).



[12]
This record from the Materials Project describes an optimized crystal structure of KPF6. The functional is GGA-PBE.

Geometry as extended XYZ:
```
8
Lattice="3.6818 2.1257 2.4096 -3.6818 2.1257 2.4096 0.0000 -4.2513 2.4096" Properties=species:S:1:pos:R:3 pbc="T T T"
K 0.0000 0.0000 0.0000
P 0.0000 0.0000 3.6144
F -0.1644 -1.3236 2.6609
F -1.0641 0.8042 2.6609
F -1.2285 -0.5195 4.5679
F 1.2285 0.5195 2.6609
F 1.0641 -0.8042 4.5679
F 0.1644 1.3236 4.5679
```

Values from the calculation:
The formation energy is -24.7 eV/f.u. As for the symmetry: R-3 (148).



[13]
This record from the Materials Project describes an optimized crystal structure of KPF6. The functional is GGA-PBE.

Geometry as extended XYZ:
```
8
Lattice="2.7269 1.5744 4.7464 -2.7269 1.5744 4.7464 0.0000 -3.1487 4.7464" Properties=species:S:1:pos:R:3 pbc="T T T"
K 0.0000 0.0000 0.0000
P 0.0000 0.0000 7.1195
F -1.1544 -0.6665 6.1725
F 0.0000 -1.3330 8.0665
F -1.1544 0.6665 8.0665
F 1.1544 -0.6665 6.1725
F 0.0000 1.3330 6.1725
F 1.1544 0.6665 8.0665
```

Values from the calculation:
The formation energy is -24.7 eV/f.u. As for the symmetry: R-3m (166).



| no. | E_tot (eV per cell) |
| --- | --- |
| 1 | -72.58 |
| 2 | -34.71 |
| 3 | -226.93 |
| 4 | -98.95 |
| 5 | -55.37 |
| 6 | -271.78 |
| 7 | -299.87 |
| 8 | -227.15 |
| 9 | -71.69 |
| 10 | -238.16 |
| 11 | -47.62 |
| 12 | -39.96 |
| 13 | -39.92 |